First-principles (meta-GGA r2SCAN) data for an optimized crystal structure of Y2Cr2O7, as listed in Materials Project.

The structure in POSCAR format:
```
Y2Cr2O7
1.0
0.0000 4.9665 4.9665
4.9665 0.0000 4.9665
4.9665 4.9665 0.0000
Y Cr O
4 4 14
Cartesian
0.0000 0.0000 0.0000
2.4832 2.4832 0.0000
2.4832 0.0000 2.4832
0.0000 2.4832 2.4832
4.9665 2.4832 2.4832
2.4832 4.9665 2.4832
2.4832 2.4832 4.9665
4.9665 4.9665 4.9665
1.2416 1.2416 1.2416
3.7248 3.7248 1.7144
3.7248 1.7144 3.7248
5.7353 3.7248 3.7248
6.2081 6.2081 4.1976
6.2081 4.1976 6.2081
8.2185 6.2081 6.2081
1.7144 3.7248 3.7248
3.7248 5.7353 3.7248
3.7248 3.7248 5.7353
4.1976 6.2081 6.2081
6.2081 8.2185 6.2081
6.2081 6.2081 8.2185
8.6913 8.6913 8.6913
```

- volume (Å³/cell) = 245
- crystal system = cubic
- electronic total energy (eV/atom) = -13.22
- mass density (g/cm³) = 5.34

First-principles (meta-GGA r2SCAN) data for an optimized crystal structure of RbMo3S3, as listed in Materials Project.

The structure in POSCAR format:
```
RbMo3S3
1.0
9.0913 0.0000 0.0000
-4.5456 7.8733 0.0000
0.0000 0.0000 4.4270
Rb Mo S
2 6 6
Cartesian
0.0000 5.2488 1.1068
4.5456 2.6244 3.3203
-0.5704 1.4135 1.1068
-3.0363 7.6605 1.1068
0.9390 1.2008 3.3203
3.6067 6.6725 1.1068
7.5819 0.2128 3.3203
5.1161 6.4597 3.3203
-1.0615 2.6784 3.3203
-1.6953 7.4534 3.3203
1.7888 2.2585 1.1068
2.7569 5.6148 3.3203
6.2410 0.4199 1.1068
5.6072 5.1949 1.1068
```

- volume (Å³/cell) = 317
- crystal system = hexagonal
- electronic total energy (eV/atom) = -17.55
- mass density (g/cm³) = 4.92

First-principles (meta-GGA r2SCAN) data for an optimized crystal structure of Nd2Ni5B4, as listed in Materials Project.

The structure in POSCAR format:
```
Nd2Ni5B4
1.0
4.8746 -2.5378 0.0000
4.8746 2.5378 0.0000
-3.9290 0.0000 5.4795
Nd Ni B
2 5 4
Cartesian
1.6148 0.0000 0.8169
4.2053 0.0000 4.6626
1.6658 1.2853 3.4398
4.1544 1.2853 2.0397
4.8746 0.0000 0.0000
1.6658 -1.2853 3.4398
4.1544 -1.2853 2.0397
-1.5541 0.0000 3.5080
0.1235 0.0000 3.6196
5.6967 0.0000 1.8599
7.3743 0.0000 1.9715
```

- volume (Å³/cell) = 136
- crystal system = monoclinic
- electronic total energy (eV/atom) = -13.95
- mass density (g/cm³) = 7.66

First-principles (meta-GGA r2SCAN) data for an optimized crystal structure of Sr3P4O13, as listed in Materials Project.

The structure in POSCAR format:
```
Sr3P4O13
1.0
7.2769 0.0000 0.0000
-0.5850 7.7195 0.0000
-2.3473 -2.3803 9.6038
Sr P O
6 8 26
Cartesian
1.0643 1.3546 1.3237
0.0449 -1.6591 7.2823
0.7445 5.0639 3.5956
3.6001 0.2754 6.0082
4.2997 6.9983 2.3214
3.2803 3.9846 8.2801
-1.2846 1.5154 8.2571
-0.0163 0.3035 4.6908
1.8369 6.2101 0.2140
0.7779 2.5936 6.2646
3.5667 2.7456 3.3392
2.5077 -0.8709 9.3898
4.3609 5.0357 4.9130
5.6292 3.8238 1.3467
-1.2505 0.0235 5.5076
-0.4565 3.2636 2.0375
-0.1503 0.1853 3.1937
-1.3146 0.0590 8.5853
-1.5843 4.6812 9.1485
1.3661 4.6589 0.0078
0.3083 1.8777 4.9423
0.0317 1.7857 7.4142
0.3773 4.0241 6.1227
1.1841 -0.4833 5.2215
1.8268 6.4008 1.7207
2.1243 3.0028 3.0637
0.8530 3.9635 9.1984
3.4915 1.3758 0.4053
2.2203 2.3365 6.5400
2.5178 -1.0615 7.8831
3.1605 5.8226 4.3823
3.9672 1.3152 3.4811
4.3129 3.5535 2.1896
4.0363 3.4616 4.6615
2.9785 0.6803 9.5960
5.9289 0.6580 0.4553
5.6592 5.2802 1.0185
4.4949 5.1540 6.4101
4.8011 2.0757 7.5663
5.5951 5.3157 4.0962
```

- volume (Å³/cell) = 539
- crystal system = triclinic
- electronic total energy (eV/atom) = -10.87
- mass density (g/cm³) = 3.66